PuP2H6C2O6 | PBE | relaxed

a = 8.321 Å, b = 10.885 Å, c = 9.626 Å
α = 90.00°, β = 92.52°, γ = 90.00°
Space group P2_1/c (No. 14)
Inequivalent atoms, fractional coordinates:
Pu  0.074  0.109  0.263 (multiplicity 4)
P  0.176  0.657  0.560 (multiplicity 4)
P  0.223  0.111  0.616 (multiplicity 4)
H  0.347  0.703  0.947 (multiplicity 4)
H  0.380  0.037  0.811 (multiplicity 4)
H  0.394  0.562  0.165 (multiplicity 4)
H  0.438  0.649  0.462 (multiplicity 4)
H  0.438  0.747  0.609 (multiplicity 4)
H  0.492  0.576  0.826 (multiplicity 4)
C  0.368  0.718  0.516 (multiplicity 4)
C  0.393  0.034  0.698 (multiplicity 4)
O  0.070  0.043  0.657 (multiplicity 4)
O  0.083  0.741  0.134 (multiplicity 4)
O  0.089  0.619  0.422 (multiplicity 4)
O  0.206  0.544  0.656 (multiplicity 4)
O  0.223  0.245  0.670 (multiplicity 4)
O  0.238  0.106  0.456 (multiplicity 4)



BaHfMg6 | PBE | relaxed

a = 5.368 Å, b = 6.730 Å, c = 11.670 Å
α = 90.00°, β = 90.00°, γ = 90.00°
Space group Amm2 (No. 38)
Inequivalent atoms, fractional coordinates:
Ba  0.000  0.000  0.000 (multiplicity 2)
Hf  0.500  0.000  0.821 (multiplicity 2)
Mg  0.000  0.000  0.500 (multiplicity 2)
Mg  0.000  0.235  0.752 (multiplicity 4)
Mg  0.500  0.000  0.331 (multiplicity 2)
Mg  0.500  0.238  0.588 (multiplicity 4)



BeNi3 | PBE | relaxed

a = 3.419 Å, b = 3.419 Å, c = 3.419 Å
α = 90.00°, β = 90.00°, γ = 90.00°
Space group Pm-3m (No. 221)
Inequivalent atoms, fractional coordinates:
Be  0.000  0.000  0.000 (multiplicity 1)
Ni  0.000  0.500  0.500 (multiplicity 3)



CaCO3 | PBE | relaxed

a = 6.394 Å, b = 7.697 Å, c = 12.742 Å
α = 93.77°, β = 98.92°, γ = 106.22°
Space group P-1 (No. 2)
Inequivalent atoms, fractional coordinates:
Ca  0.013  0.251  0.021 (multiplicity 2)
Ca  0.164  0.850  0.443 (multiplicity 2)
Ca  0.273  0.380  0.381 (multiplicity 2)
Ca  0.410  0.429  0.828 (multiplicity 2)
Ca  0.473  0.018  0.212 (multiplicity 2)
C  0.002  0.980  0.211 (multiplicity 2)
C  0.050  0.529  0.201 (multiplicity 2)
C  0.283  0.661  0.616 (multiplicity 2)
C  0.376  0.178  0.599 (multiplicity 2)
C  0.442  0.763  0.994 (multiplicity 2)
O  0.051  0.620  0.288 (multiplicity 2)
O  0.078  0.995  0.120 (multiplicity 2)
O  0.081  0.464  0.888 (multiplicity 2)
O  0.103  0.704  0.608 (multiplicity 2)
O  0.149  0.040  0.298 (multiplicity 2)
O  0.173  0.419  0.196 (multiplicity 2)
O  0.203  0.095  0.788 (multiplicity 2)
O  0.203  0.164  0.526 (multiplicity 2)
O  0.352  0.618  0.529 (multiplicity 2)
O  0.354  0.844  0.922 (multiplicity 2)
O  0.364  0.746  0.083 (multiplicity 2)
O  0.405  0.312  0.022 (multiplicity 2)
O  0.412  0.673  0.708 (multiplicity 2)
O  0.458  0.040  0.602 (multiplicity 2)
O  0.469  0.323  0.664 (multiplicity 2)



Sm2TlHg | PBE | relaxed

a = 7.678 Å, b = 7.678 Å, c = 7.678 Å
α = 90.00°, β = 90.00°, γ = 90.00°
Space group Fm-3m (No. 225)
Inequivalent atoms, fractional coordinates:
Sm  0.250  0.250  0.250 (multiplicity 8)
Tl  0.000  0.000  0.000 (multiplicity 4)
Hg  0.000  0.000  0.500 (multiplicity 4)



KNaNbOF5 | PBE | relaxed

a = 6.079 Å, b = 6.079 Å, c = 8.640 Å
α = 90.00°, β = 90.00°, γ = 90.00°
Space group P4/nmm (No. 129, origin choice 2)
Inequivalent atoms, fractional coordinates:
K  0.250  0.750  0.000 (multiplicity 2)
Na  0.250  0.250  0.268 (multiplicity 2)
Nb  0.250  0.250  0.737 (multiplicity 2)
O  0.250  0.250  0.534 (multiplicity 2)
F  0.021  0.021  0.775 (multiplicity 8)
F  0.250  0.250  0.990 (multiplicity 2)



TaSb3O8 | PBE | relaxed

a = 4.961 Å, b = 5.579 Å, c = 23.913 Å
α = 90.04°, β = 90.00°, γ = 90.03°
Space group P1 (No. 1)
Inequivalent atoms, fractional coordinates:
Ta  0.000  0.000  0.000 (multiplicity 1)
Ta  0.000  0.264  0.750 (multiplicity 1)
Ta  0.005  0.269  0.250 (multiplicity 1)
Ta  0.506  0.764  0.750 (multiplicity 1)
Sb  0.002  0.001  0.500 (multiplicity 1)
Sb  0.046  0.616  0.376 (multiplicity 1)
Sb  0.051  0.617  0.876 (multiplicity 1)
Sb  0.454  0.114  0.875 (multiplicity 1)
Sb  0.459  0.118  0.375 (multiplicity 1)
Sb  0.500  0.500  0.001 (multiplicity 1)
Sb  0.503  0.501  0.500 (multiplicity 1)
Sb  0.505  0.769  0.251 (multiplicity 1)
Sb  0.548  0.149  0.625 (multiplicity 1)
Sb  0.549  0.152  0.126 (multiplicity 1)
Sb  0.957  0.652  0.126 (multiplicity 1)
Sb  0.958  0.649  0.625 (multiplicity 1)
O  0.160  0.955  0.423 (multiplicity 1)
O  0.161  0.954  0.923 (multiplicity 1)
O  0.168  0.289  0.829 (multiplicity 1)
O  0.168  0.291  0.329 (multiplicity 1)
O  0.207  0.713  0.530 (multiplicity 1)
O  0.213  0.716  0.028 (multiplicity 1)
O  0.219  0.997  0.226 (multiplicity 1)
O  0.223  0.003  0.725 (multiplicity 1)
O  0.283  0.503  0.725 (multiplicity 1)
O  0.287  0.497  0.224 (multiplicity 1)
O  0.293  0.213  0.027 (multiplicity 1)
O  0.298  0.212  0.529 (multiplicity 1)
O  0.337  0.790  0.829 (multiplicity 1)
O  0.340  0.791  0.330 (multiplicity 1)
O  0.344  0.455  0.423 (multiplicity 1)
O  0.346  0.454  0.923 (multiplicity 1)
O  0.661  0.814  0.173 (multiplicity 1)
O  0.664  0.477  0.579 (multiplicity 1)
O  0.664  0.479  0.080 (multiplicity 1)
O  0.665  0.813  0.673 (multiplicity 1)
O  0.711  0.056  0.277 (multiplicity 1)
O  0.713  0.778  0.471 (multiplicity 1)
O  0.714  0.058  0.777 (multiplicity 1)
O  0.718  0.772  0.974 (multiplicity 1)
O  0.786  0.272  0.976 (multiplicity 1)
O  0.792  0.279  0.471 (multiplicity 1)
O  0.792  0.553  0.278 (multiplicity 1)
O  0.792  0.558  0.777 (multiplicity 1)
O  0.838  0.978  0.079 (multiplicity 1)
O  0.840  0.313  0.673 (multiplicity 1)
O  0.841  0.977  0.579 (multiplicity 1)
O  0.844  0.313  0.173 (multiplicity 1)



Li7IN2 | PBE | relaxed

a = 12.791 Å, b = 7.376 Å, c = 7.346 Å
α = 90.00°, β = 125.00°, γ = 90.00°
Space group Cm (No. 8)
Inequivalent atoms, fractional coordinates:
Li  0.000  0.000  0.000 (multiplicity 2)
Li  0.009  0.216  0.208 (multiplicity 4)
Li  0.088  0.500  0.071 (multiplicity 2)
Li  0.132  0.000  0.913 (multiplicity 2)
Li  0.213  0.000  0.286 (multiplicity 2)
Li  0.262  0.328  0.421 (multiplicity 4)
Li  0.266  0.318  0.078 (multiplicity 4)
Li  0.296  0.500  0.786 (multiplicity 2)
Li  0.445  0.500  0.433 (multiplicity 2)
Li  0.480  0.260  0.786 (multiplicity 4)
I  0.017  0.500  0.495 (multiplicity 2)
I  0.282  0.000  0.738 (multiplicity 2)
N  0.131  0.230  0.111 (multiplicity 4)
N  0.392  0.500  0.121 (multiplicity 2)
N  0.398  0.500  0.647 (multiplicity 2)

Output
* largest piezoelectric modulus: 0.37 C/m²



Number 1: E_form -1.67 eV per atom. Number 2: E_form 0.24 eV per atom. Number 3: E_form -0.16 eV per atom. Number 4: E_form -2.66 eV per atom. Number 5: E_form -0.43 eV per atom. Number 6: E_form -3.26 eV per atom. Number 7: E_form -2.27 eV per atom. Number 8: E_form -0.62 eV per atom.